A plane-wave DFT calculation with GGA+U was carried out for a relaxed Sr2CeCrO6 crystal.

Results
ΔH_f (0 K) = -3.01 eV per atom
SG = Fm-3m
Spin magnetization = 2.0 μB per cell

Lattice parameters (Å, degrees): 5.8603 5.8603 5.8603 60.00 60.00 60.00
With the nearest neighbours (Å) after each atom.
Atoms (fractional coordinates):
1 Sr 0.2500 0.2500 0.2500  12 O 2.93
2 Sr 0.7500 0.7500 0.7500  12 O 2.93
3 Ce 0.0000 0.0000 0.0000  6 O 2.20
4 Cr 0.5000 0.5000 0.5000  6 O 1.94
5 O 0.7341 0.2659 0.2659  1 Cr 1.94
6 O 0.2659 0.7341 0.7341  1 Cr 1.94
7 O 0.7341 0.2659 0.7341  1 Cr 1.94
8 O 0.2659 0.7341 0.2659  1 Cr 1.94
9 O 0.7341 0.7341 0.2659  1 Cr 1.94
10 O 0.2659 0.2659 0.7341  1 Cr 1.94

***

A plane-wave DFT calculation with GGA+U was carried out for a relaxed Sr6Ce2Y4Fe3Cu3O24 crystal.

Results
ΔH_f (0 K) = -2.85 eV per atom
SG = Cm
Spin magnetization = 13.0 μB per cell
Relative energy among the computed polymorphs = 0.0 meV per atom

Lattice parameters (Å, degrees): 5.4625 8.6379 13.2195 97.48 78.08 71.57
With the nearest neighbours (Å) after each atom.
Atoms (fractional coordinates):
1 Sr 0.7309 0.6459 0.3924  2 O 2.41-2.62
2 Sr 0.4127 0.2824 0.3922  2 O 2.41-2.63
3 Sr 0.0738 0.9631 0.3893  5 O 2.52-2.75
4 Sr 0.1019 0.6865 0.6097  6 O 2.54-2.78
5 Sr 0.7520 0.3861 0.6098  6 O 2.54-2.78
6 Sr 0.4274 0.0367 0.6085  3 O 2.45-2.74
7 Ce 0.5658 0.4649 0.9035  6 O 2.25-2.51
8 Ce 0.8964 0.8035 0.9036  6 O 2.25-2.52
9 Y 0.2655 0.8689 0.1000  8 O 2.30-2.51
10 Y 0.6021 0.1975 0.0984  8 O 2.30-2.51
11 Y 0.9339 0.5329 0.0994  8 O 2.30-2.50
12 Y 0.2316 0.1346 0.9022  8 O 2.30-2.51
13 Fe 0.9935 0.2535 0.2595  5 O 1.90-1.98
14 Fe 0.3274 0.5861 0.2591  5 O 1.90-1.98
15 Fe 0.8418 0.0787 0.7378  5 O 1.88-1.97
16 Cu 0.6673 0.9162 0.2492  5 O 1.98-2.09
17 Cu 0.1663 0.4160 0.7514  5 O 1.96-2.14
18 Cu 0.4982 0.7522 0.7515  5 O 1.96-2.14
19 O 0.2259 0.6391 0.4092  1 Fe 1.90
20 O 0.8949 0.3006 0.4095  1 Fe 1.90
21 O 0.5569 0.9714 0.4147  1 Cu 2.09
22 O 0.6121 0.6933 0.5826  1 Cu 2.14
23 O 0.2778 0.3620 0.5823  1 Cu 2.14
24 O 0.9408 0.0297 0.5887  1 Fe 1.88
25 O 0.8305 0.3349 0.9996  1 Ce 2.25, 3 Y 2.30-2.31
26 O 0.5035 0.9980 0.9992  1 Ce 2.25, 3 Y 2.30-2.31
27 O 0.1673 0.6665 0.9994  2 Ce 2.29, 2 Y 2.31-2.32
28 O 0.6668 0.6665 0.9994  2 Ce 2.29, 2 Y 2.31-2.32
29 O 0.3350 0.3349 0.9996  1 Ce 2.25, 3 Y 2.30-2.31
30 O 0.9994 0.9980 0.9992  1 Ce 2.25, 3 Y 2.30-2.31
31 O 0.6845 0.4079 0.2235  2 Fe 1.98
32 O 0.3455 0.0772 0.2252  1 Fe 1.96, 1 Cu 1.98
33 O 0.0207 0.7392 0.2250  1 Fe 1.96, 1 Cu 1.98
34 O 0.1464 0.9276 0.7754  1 Fe 1.96, 1 Cu 1.97
35 O 0.8167 0.5917 0.7745  2 Cu 1.96
36 O 0.4864 0.2561 0.7758  1 Fe 1.97, 1 Cu 1.97
37 O 0.3171 0.5917 0.7745  2 Cu 1.96
38 O 0.9817 0.2561 0.7758  1 Fe 1.97, 1 Cu 1.97
39 O 0.6506 0.9276 0.7754  1 Fe 1.96, 1 Cu 1.97
40 O 0.5150 0.7392 0.2250  1 Fe 1.96, 1 Cu 1.98
41 O 0.1841 0.4079 0.2235  2 Fe 1.98
42 O 0.8520 0.0772 0.2252  1 Fe 1.96, 1 Cu 1.98

***

A plane-wave DFT calculation with GGA+U was carried out for a relaxed Sr4CeY3Fe2Cu4O18 crystal.

Results
ΔH_f (0 K) = -2.59 eV per atom
SG = Pmm2
Spin magnetization = 9.9 μB per cell

Lattice parameters (Å, degrees): 3.7946 3.9313 28.3631 90.00 90.00 90.00
With the nearest neighbours (Å) after each atom.
Atoms (fractional coordinates):
1 Sr 0.0000 0.0000 0.5790  10 O 2.71-3.03
2 Sr 0.5000 0.5000 0.0714  10 O 2.74-2.99
3 Sr 0.5000 0.5000 0.9276  10 O 2.73-2.91
4 Sr 0.0000 0.0000 0.4325  6 O 2.61-2.73
5 Ce 0.5000 0.5000 0.2043  8 O 2.30-2.48
6 Y 0.5000 0.5000 0.7898  4 O 2.23-2.25
7 Y 0.0000 0.0000 0.2937  8 O 2.29-2.50
8 Y 0.0000 0.0000 0.7077  4 O 2.26-2.28
9 Fe 0.0000 0.0000 0.8640  5 O 1.93-1.99
10 Fe 0.5000 0.5000 0.3645  5 O 1.89-2.01
11 Cu 0.0000 0.0000 0.9996  4 O 1.86-1.97
12 Cu 0.5000 0.5000 0.5005  4 O 1.84-1.97
13 Cu 0.5000 0.5000 0.6402  5 O 1.91-2.13
14 Cu 0.0000 0.0000 0.1406  5 O 1.92-2.13
15 O 0.5000 0.5000 0.5652  1 Cu 1.84
16 O 0.0000 0.0000 0.0653  1 Cu 1.86
17 O 0.0000 0.0000 0.9319  1 Cu 1.92, 1 Fe 1.93
18 O 0.5000 0.5000 0.4311  1 Fe 1.89, 1 Cu 1.97
19 O 0.0000 0.5000 0.6476  2 Cu 1.91
20 O 0.5000 0.0000 0.1510  2 Cu 1.92
21 O 0.5000 0.0000 0.6473  2 Cu 1.98
22 O 0.0000 0.5000 0.1506  2 Cu 1.99
23 O 0.5000 0.0000 0.8522  2 Fe 1.93
24 O 0.0000 0.5000 0.3481  2 Fe 1.95
25 O 0.0000 0.5000 0.8525  2 Fe 1.99
26 O 0.5000 0.0000 0.3495  2 Fe 2.01
27 O 0.0000 0.5000 0.7483  4 Y 2.23-2.28
28 O 0.5000 0.0000 0.2485  2 Y 2.29, 2 Ce 2.33
29 O 0.5000 0.0000 0.7512  4 Y 2.25-2.26
30 O 0.0000 0.5000 0.2500  2 Ce 2.30, 2 Y 2.32
31 O 0.0000 0.5000 0.9985  2 Cu 1.97
32 O 0.5000 0.0000 0.4959  2 Cu 1.97

***

A plane-wave DFT calculation with GGA+U was carried out for a relaxed Sr6Ce2Y4Fe3Cu3O24 crystal.

Results
ΔH_f (0 K) = -2.84 eV per atom
SG = P4mm
Spin magnetization = 14.5 μB per cell
Relative energy among the computed polymorphs = 10.9 meV per atom

Lattice parameters (Å, degrees): 3.8641 3.8641 38.1971 90.00 90.00 90.00
With the nearest neighbours (Å) after each atom.
Atoms (fractional coordinates):
1 Sr 0.5000 0.5000 0.2065  9 O 2.70-2.77
2 Sr 0.5000 0.5000 0.5356  5 O 2.53-2.75
3 Sr 0.5000 0.5000 0.8702  9 O 2.59-2.88
4 Sr 0.0000 0.0000 0.1331  1 O 2.32
5 Sr 0.0000 0.0000 0.4641  1 O 2.41
6 Sr 0.0000 0.0000 0.7987  1 O 2.34
7 Ce 0.5000 0.5000 0.6331  8 O 2.31-2.47
8 Ce 0.5000 0.5000 0.9666  8 O 2.31-2.48
9 Y 0.0000 0.0000 0.0332  8 O 2.32-2.47
10 Y 0.0000 0.0000 0.3634  4 O 2.25
11 Y 0.0000 0.0000 0.6994  8 O 2.31-2.49
12 Y 0.5000 0.5000 0.3022  4 O 2.27
13 Fe 0.5000 0.5000 0.0862  5 O 1.90-1.99
14 Fe 0.5000 0.5000 0.4190  5 O 1.92-1.97
15 Fe 0.5000 0.5000 0.7525  5 O 1.91-1.99
16 Cu 0.0000 0.0000 0.2491  5 O 1.95-2.11
17 Cu 0.0000 0.0000 0.5825  5 O 1.97-2.12
18 Cu 0.0000 0.0000 0.9164  5 O 1.97-2.16
19 O 0.0000 0.5000 0.0736  2 Fe 1.99
20 O 0.0000 0.5000 0.4094  2 Fe 1.97
21 O 0.0000 0.5000 0.7406  2 Fe 1.99
22 O 0.5000 0.0000 0.0736  2 Fe 1.99
23 O 0.5000 0.0000 0.4094  2 Fe 1.97
24 O 0.5000 0.0000 0.7406  2 Fe 1.99
25 O 0.0000 0.5000 0.2568  2 Cu 1.95
26 O 0.0000 0.5000 0.5930  2 Cu 1.97
27 O 0.0000 0.5000 0.9260  2 Cu 1.97
28 O 0.5000 0.0000 0.2568  2 Cu 1.95
29 O 0.5000 0.0000 0.5930  2 Cu 1.97
30 O 0.5000 0.0000 0.9260  2 Cu 1.97
31 O 0.0000 0.5000 0.9996  2 Ce 2.31, 2 Y 2.32
32 O 0.0000 0.5000 0.3333  4 Y 2.25-2.27
33 O 0.0000 0.5000 0.6665  2 Y 2.31, 2 Ce 2.31
34 O 0.5000 0.0000 0.9996  2 Ce 2.31, 2 Y 2.32
35 O 0.5000 0.0000 0.3333  4 Y 2.25-2.27
36 O 0.5000 0.0000 0.6665  2 Y 2.31, 2 Ce 2.31
37 O 0.5000 0.5000 0.1358  1 Fe 1.90
38 O 0.5000 0.5000 0.4693  1 Fe 1.92
39 O 0.5000 0.5000 0.8024  1 Fe 1.91
40 O 0.0000 0.0000 0.1940  1 Cu 2.11, 1 Sr 2.32
41 O 0.0000 0.0000 0.5270  1 Cu 2.12
42 O 0.0000 0.0000 0.8600  1 Cu 2.16, 1 Sr 2.34

***

A plane-wave DFT calculation with GGA+U was carried out for a relaxed CeMn4Cu3O12 crystal.

Results
ΔH_f (0 K) = -1.88 eV per atom
SG = Im-3
Spin magnetization = 11.0 μB per cell

Lattice parameters (Å, degrees): 6.4366 6.4366 6.4366 109.47 109.47 109.47
With the nearest neighbours (Å) after each atom.
Atoms (fractional coordinates):
1 Ce 0.0000 0.0000 0.0000  12 O 2.56
2 Mn 0.0000 0.0000 0.5000  6 O 1.97
3 Mn 0.5000 0.0000 0.0000  6 O 1.97
4 Mn 0.0000 0.5000 0.0000  6 O 1.97
5 Mn 0.5000 0.5000 0.5000  6 O 1.97
6 Cu 0.5000 0.0000 0.5000  4 O 1.99
7 Cu 0.0000 0.5000 0.5000  4 O 1.99
8 Cu 0.5000 0.5000 0.0000  4 O 1.99
9 O 0.7024 0.8254 0.5278  2 Mn 1.97, 1 Cu 1.99
10 O 0.7024 0.1746 0.8771  2 Mn 1.97, 1 Cu 1.99
11 O 0.2976 0.8254 0.1229  2 Mn 1.97, 1 Cu 1.99
12 O 0.2976 0.1746 0.4722  2 Mn 1.97, 1 Cu 1.99
13 O 0.8254 0.5278 0.7024  2 Mn 1.97, 1 Cu 1.99
14 O 0.1746 0.8771 0.7024  2 Mn 1.97, 1 Cu 1.99
15 O 0.8254 0.1229 0.2976  2 Mn 1.97, 1 Cu 1.99
16 O 0.1746 0.4722 0.2976  2 Mn 1.97, 1 Cu 1.99
17 O 0.5278 0.7024 0.8254  2 Mn 1.97, 1 Cu 1.99
18 O 0.8771 0.7024 0.1746  2 Mn 1.97, 1 Cu 1.99
19 O 0.1229 0.2976 0.8254  2 Mn 1.97, 1 Cu 1.99
20 O 0.4722 0.2976 0.1746  2 Mn 1.97, 1 Cu 1.99

***

A plane-wave DFT calculation with GGA+U was carried out for a relaxed KCeEuWO6 crystal.

Results
ΔH_f (0 K) = -2.83 eV per atom
SG = F-43m
Spin magnetization = 6.0 μB per cell
Relative energy among the computed polymorphs = 67.6 meV per atom

Lattice parameters (Å, degrees): 6.0015 6.0015 6.0015 60.00 60.00 60.00
With the nearest neighbours (Å) after each atom.
Atoms (fractional coordinates):
1 K 0.2500 0.2500 0.2500  12 O 3.00
2 Ce 0.0000 0.0000 0.0000  6 O 2.27
3 Eu 0.7500 0.7500 0.7500  12 O 3.00
4 W 0.5000 0.5000 0.5000  6 O 1.97
5 O 0.7325 0.2675 0.2675  1 W 1.97
6 O 0.2675 0.7325 0.7325  1 W 1.97
7 O 0.7325 0.2675 0.7325  1 W 1.97
8 O 0.2675 0.7325 0.2675  1 W 1.97
9 O 0.7325 0.7325 0.2675  1 W 1.97
10 O 0.2675 0.2675 0.7325  1 W 1.97

***

A plane-wave DFT calculation with GGA+U was carried out for a relaxed KCeEuWO6 crystal.

Results
ΔH_f (0 K) = -2.90 eV per atom
SG = Pnnn
Spin magnetization = 4.9 μB per cell
Relative energy among the computed polymorphs = 0.0 meV per atom

Lattice parameters (Å, degrees): 8.4815 8.5256 8.4344 90.00 90.00 90.00
With the nearest neighbours (Å) after each atom.
Atoms (fractional coordinates):
1 K 0.5000 0.0000 0.5000  4 O 2.70
2 K 0.5000 0.5000 0.0000  4 O 2.68
3 K 0.0000 0.5000 0.0000  4 O 2.70
4 K 0.0000 0.0000 0.5000  4 O 2.68
5 Ce 0.7500 0.7500 0.7500  6 O 2.26-2.32
6 Ce 0.2500 0.2500 0.7500  6 O 2.26-2.32
7 Ce 0.2500 0.7500 0.2500  6 O 2.26-2.32
8 Ce 0.7500 0.2500 0.2500  6 O 2.26-2.32
9 Eu 0.0000 0.5000 0.5000  4 O 2.56
10 Eu 0.5000 0.0000 0.0000  4 O 2.56
11 Eu 0.0000 0.0000 0.0000  12 O 2.94-2.98
12 Eu 0.5000 0.5000 0.5000  12 O 2.94-2.98
13 W 0.2500 0.2500 0.2500  6 O 1.95-2.06
14 W 0.7500 0.7500 0.2500  6 O 1.95-2.06
15 W 0.7500 0.2500 0.7500  6 O 1.95-2.06
16 W 0.2500 0.7500 0.7500  6 O 1.95-2.06
17 O 0.0133 0.2205 0.2742  1 W 2.03, 1 Ce 2.26
18 O 0.9867 0.7795 0.2742  1 W 2.03, 1 Ce 2.26
19 O 0.9867 0.2205 0.7258  1 W 2.03, 1 Ce 2.26
20 O 0.0133 0.7795 0.7258  1 W 2.03, 1 Ce 2.26
21 O 0.2784 0.0146 0.2062  1 W 2.06, 1 Ce 2.30
22 O 0.2784 0.9854 0.7938  1 W 2.06, 1 Ce 2.30
23 O 0.7216 0.9854 0.2062  1 W 2.06, 1 Ce 2.30
24 O 0.7216 0.0146 0.7938  1 W 2.06, 1 Ce 2.30
25 O 0.2173 0.2695 0.0221  1 W 1.95
26 O 0.7827 0.2695 0.9779  1 W 1.95
27 O 0.2173 0.7305 0.9779  1 W 1.95
28 O 0.7827 0.7305 0.0221  1 W 1.95
29 O 0.4867 0.2795 0.2258  1 W 2.03, 1 Ce 2.26
30 O 0.5133 0.7205 0.2258  1 W 2.03, 1 Ce 2.26
31 O 0.5133 0.2795 0.7742  1 W 2.03, 1 Ce 2.26
32 O 0.4867 0.7205 0.7742  1 W 2.03, 1 Ce 2.26
33 O 0.2216 0.4854 0.2938  1 W 2.06, 1 Ce 2.30
34 O 0.2216 0.5146 0.7062  1 W 2.06, 1 Ce 2.30
35 O 0.7784 0.5146 0.2938  1 W 2.06, 1 Ce 2.30
36 O 0.7784 0.4854 0.7062  1 W 2.06, 1 Ce 2.30
37 O 0.2827 0.2305 0.4779  1 W 1.95
38 O 0.7173 0.2305 0.5221  1 W 1.95
39 O 0.2827 0.7695 0.5221  1 W 1.95
40 O 0.7173 0.7695 0.4779  1 W 1.95